Here is an optimized crystal structure of RbAlMo2O8 from the Materials Project. Energies are from GGA+U.

Structure (POSCAR):
```
RbAlMo2O8
1.0
5.654 0.000 0.000
-2.827 4.896 0.000
0.000 0.000 7.476
Rb Al Mo O
1 1 2 8
Cartesian
0.000 0.000 0.000
0.000 0.000 3.738
0.000 3.264 2.056
2.827 1.632 5.420
0.000 1.544 2.613
-1.490 4.124 2.613
1.337 0.772 4.863
0.000 3.264 0.306
2.827 1.632 7.170
1.490 4.124 2.613
4.316 0.772 4.863
2.827 3.352 4.863
```

Magnetic moment (μB per formula unit): 0.0
Crystal system: trigonal
ΔE_f (eV/f.u.): -28.48

***

Here is an optimized crystal structure of Li3Co2Si2O8 from the Materials Project. Energies are from GGA+U.

Structure (POSCAR):
```
Li3Co2Si2O8
1.0
3.779 -3.596 0.000
3.779 3.596 0.000
-0.385 0.000 6.731
Li Co Si O
3 2 2 8
Cartesian
0.000 0.000 0.000
2.562 0.718 0.334
4.611 0.718 6.397
3.586 1.209 3.366
3.586 -3.150 3.366
2.169 -0.947 5.050
5.004 -0.947 1.682
1.148 -0.905 3.724
1.285 -0.950 6.403
3.198 0.326 5.060
3.975 0.326 1.671
2.989 -2.399 4.933
4.184 -2.399 1.798
5.888 -0.950 0.328
6.025 -0.905 3.007
```

Magnetic moment (μB per formula unit): 7.0
Crystal system: monoclinic
ΔE_f (eV/f.u.): -35.47
Distance to the lowest polymorph of the same formula (eV/atom): 0.045

***

Here is an optimized crystal structure of LiFeOF2 from the Materials Project. Energies are from GGA+U.

Structure (POSCAR):
```
LiFeOF2
1.0
8.814 0.000 0.000
0.000 5.293 0.000
-8.268 0.000 9.522
Li Fe O F
8 8 8 16
Cartesian
0.000 0.369 0.000
-4.134 4.924 4.761
-2.471 2.247 4.789
1.663 3.045 0.028
0.228 2.177 6.592
4.362 3.116 1.831
5.955 0.513 2.001
1.820 4.779 6.762
-5.375 2.071 6.624
-1.241 3.221 1.863
-0.053 0.229 3.963
-4.187 5.064 8.724
2.879 0.386 1.786
-1.255 4.906 6.548
-2.453 2.033 8.854
1.681 3.260 4.093
-5.488 0.475 7.529
-1.354 4.818 2.767
-1.023 1.102 5.357
3.111 4.191 0.596
-2.511 0.411 7.853
1.623 4.882 3.092
4.488 1.240 0.556
0.354 4.053 5.318
-4.115 1.461 5.288
0.019 3.831 0.527
1.504 1.279 0.696
-2.630 4.013 5.457
0.158 2.224 3.045
-3.976 3.069 7.806
2.949 2.209 2.881
-1.185 3.084 7.642
1.825 1.599 5.350
5.960 3.694 0.589
0.311 0.361 7.637
4.445 4.931 2.876
7.354 1.515 0.596
3.220 3.778 5.357
6.129 2.270 2.852
1.994 3.022 7.613
```

Magnetic moment (μB per formula unit): 5.0
Crystal system: monoclinic
ΔE_f (eV/f.u.): -12.26
Distance to the lowest polymorph of the same formula (eV/atom): 0.066

***

Here is an optimized crystal structure of Eu2MgFe2O5 from the Materials Project. Energies are from GGA+U.

Structure (POSCAR):
```
Eu2MgFe2O5
1.0
3.746 0.000 0.000
0.004 5.865 0.000
0.006 0.009 7.033
Eu Mg Fe O
2 1 2 5
Cartesian
0.000 0.000 0.000
0.014 5.867 3.518
0.009 2.932 0.007
1.882 2.944 2.132
1.887 2.929 4.912
0.009 2.933 2.025
0.014 2.940 5.021
1.885 0.010 5.255
1.882 2.928 0.006
1.886 5.860 1.789
```

Magnetic moment (μB per formula unit): 21.2
Crystal system: triclinic
ΔE_f (eV/f.u.): -19.46
Distance to the lowest polymorph of the same formula (eV/atom): 0.310

***

Here is an optimized crystal structure of FePNO4F from the Materials Project. Energies are from GGA+U.

Structure (POSCAR):
```
FePNO4F
1.0
12.975 0.000 0.000
0.000 6.379 0.000
0.000 0.000 10.890
Fe P N O F
8 8 8 32 8
Cartesian
1.477 0.008 0.000
3.223 4.788 8.159
3.265 1.598 2.714
5.011 3.198 5.445
7.964 3.181 0.000
9.710 4.780 8.159
9.752 1.591 2.714
11.498 6.371 5.445
12.969 1.077 2.724
0.006 5.301 8.168
2.394 3.176 0.012
4.094 6.366 5.457
6.482 2.112 2.724
6.493 4.267 8.168
8.881 0.013 0.012
10.581 3.203 5.457
1.283 1.926 6.105
1.537 4.615 3.324
4.950 1.425 8.769
5.205 5.115 0.661
7.770 1.263 6.105
8.025 4.953 3.324
11.438 1.764 8.769
11.692 4.453 0.661
0.136 6.205 9.426
0.179 0.163 1.482
1.259 1.969 2.850
1.264 4.433 8.001
1.484 4.405 0.258
1.503 1.956 10.601
3.177 0.282 4.232
3.193 6.120 6.690
3.295 2.931 1.245
3.311 3.471 9.677
4.985 5.146 5.156
5.003 1.215 5.702
5.224 1.243 2.556
5.229 5.159 8.295
6.308 3.352 6.927
6.351 3.016 3.981
6.624 3.363 9.426
6.667 3.026 1.482
7.746 1.220 2.850
7.751 5.136 8.001
7.972 5.164 0.258
7.990 1.233 10.601
9.664 2.908 4.232
9.680 3.448 6.690
9.782 0.259 1.245
9.798 6.097 9.677
11.472 4.423 5.156
11.491 1.974 5.702
11.711 1.946 2.556
11.716 4.410 8.295
12.796 6.216 6.927
12.839 0.173 3.981
2.909 6.175 9.526
2.916 0.186 1.389
3.572 3.375 6.834
3.578 2.986 4.081
9.397 3.393 9.526
9.403 3.004 1.389
10.059 6.193 6.834
10.066 0.203 4.081
```

Magnetic moment (μB per formula unit): 0.0
Crystal system: orthorhombic
ΔE_f (eV/f.u.): -10.03

***

Here is an optimized crystal structure of NaCoAsCO7 from the Materials Project. Energies are from GGA+U.

Structure (POSCAR):
```
NaCoAsCO7
1.0
5.332 0.000 0.000
0.000 6.235 0.000
-0.506 0.000 9.232
Na Co As C O
2 2 2 2 14
Cartesian
1.120 0.000 2.491
3.706 3.117 6.740
0.720 1.372 7.685
4.106 4.490 1.547
1.034 4.527 8.667
3.792 1.410 0.565
1.166 1.448 5.367
3.660 4.565 3.865
-0.029 1.425 5.917
0.600 4.566 0.858
0.661 3.251 7.556
0.720 5.791 7.509
1.414 1.450 4.165
2.103 1.311 0.194
2.078 1.456 6.337
2.748 4.573 2.895
2.723 4.428 9.038
3.412 4.567 5.067
4.106 2.673 1.723
4.165 0.133 1.676
4.226 1.449 8.374
4.855 4.542 3.315
```

Magnetic moment (μB per formula unit): 1.0
Crystal system: monoclinic
ΔE_f (eV/f.u.): -17.65